Entry from the Materials Project: an optimized crystal structure of CrBO3 (r²SCAN).

Values from the calculation:
* energy relative to the elements: -2.526 eV/atom
* V: 8.7 A^3/atom
* SG: R-3c, No. 167

The structure in extended XYZ format:
```
10
Lattice="4.160 0.001 3.514 1.632 3.826 3.514 0.001 0.001 5.446" Properties=species:S:1:pos:R:3 pbc="T T T"
Cr 2.897 1.914 6.237
Cr 0.000 0.000 0.000
B 4.345 2.871 9.356
B 1.448 0.957 3.119
O 1.953 0.194 5.841
O 3.854 1.721 4.490
O 4.359 0.958 7.213
O 3.840 3.634 6.633
O 1.940 2.107 7.984
O 1.434 2.870 5.261
```

---

Entry from the Materials Project: an optimized crystal structure of Rb3AlO3 (r²SCAN).

Values from the calculation:
* energy relative to the elements: -2.126 eV/atom
* V: 19.5 A^3/atom
* SG: C2/m, No. 12

The structure in extended XYZ format:
```
14
Lattice="6.706 0.003 -0.890 -3.015 5.990 -0.890 -0.008 -0.013 6.790" Properties=species:S:1:pos:R:3 pbc="T T T"
Rb 1.359 2.207 3.776
Rb 2.324 3.772 1.233
Rb -1.091 4.796 2.505
Rb 4.774 1.183 2.505
Rb -0.412 4.387 -0.890
Rb 4.103 1.606 -0.890
Al 3.108 5.046 4.294
Al 0.575 0.933 0.716
O 3.906 3.588 3.717
O 2.236 0.877 1.292
O -0.223 2.392 1.292
O 1.447 5.102 3.717
O 3.324 5.397 -0.707
O 0.359 0.582 5.717
```

---

Entry from the Materials Project: an optimized crystal structure of ZrMn2 (r²SCAN).

Values from the calculation:
* energy relative to the elements: -0.233 eV/atom
* V: 16.6 A^3/atom
* SG: R-3m, No. 166

The structure in extended XYZ format:
```
6
Lattice="4.585 0.000 2.647 1.528 4.322 2.647 0.107 0.076 5.108" Properties=species:S:1:pos:R:3 pbc="T T T"
Zr 2.329 1.647 3.907
Zr 3.891 2.752 6.494
Mn 0.000 0.000 0.000
Mn 0.054 0.038 2.554
Mn 2.292 0.000 1.323
Mn 0.764 2.161 1.323
```

---

Entry from the Materials Project: an optimized crystal structure of LiAl2Au (r²SCAN).

Values from the calculation:
* energy relative to the elements: -0.404 eV/atom
* V: 14.8 A^3/atom
* SG: Fm-3m, No. 225

The structure in extended XYZ format:
```
4
Lattice="0.000 3.095 3.095 3.095 0.000 3.095 3.095 3.095 0.000" Properties=species:S:1:pos:R:3 pbc="T T T"
Li 0.000 0.000 0.000
Al 4.643 4.643 4.643
Al 1.548 1.548 1.548
Au 3.095 3.095 3.095
```

---

Entry from the Materials Project: an optimized crystal structure of Tm5Ir3 (r²SCAN).

Values from the calculation:
* energy relative to the elements: -0.941 eV/atom
* V: 22.1 A^3/atom
* SG: P6_3/mcm, No. 193

The structure in extended XYZ format:
```
16
Lattice="-0.558 -5.811 -1.727 -6.884 1.855 -4.017 7.218 0.445 -3.829" Properties=species:S:1:pos:R:3 pbc="T T T"
Tm -2.183 1.385 -3.954
Tm 2.517 0.915 -3.892
Tm 2.238 -1.991 -4.755
Tm -2.462 -1.521 -4.818
Tm -0.172 -2.664 -7.075
Tm -0.052 -0.847 -2.498
Tm 1.482 -4.241 -2.304
Tm 5.178 -1.125 -3.253
Tm -2.231 -3.870 -2.353
Tm -5.210 -0.086 -3.391
Ir -0.289 -3.466 -4.339
Ir 0.065 -0.045 -5.233
Ir 3.999 -4.086 -3.639
Ir 2.661 -1.280 -1.918
Ir -4.631 -3.223 -3.753
Ir -2.810 -0.733 -1.990
```

---

Entry from the Materials Project: an optimized crystal structure of PaAs2 (r²SCAN).

Values from the calculation:
* energy relative to the elements: -1.065 eV/atom
* V: 21.9 A^3/atom
* SG: P4/nmm, No. 129

The structure in extended XYZ format:
```
6
Lattice="-1.838 2.992 1.952 -2.844 0.102 -2.835 -4.372 -5.421 4.192" Properties=species:S:1:pos:R:3 pbc="T T T"
Pa -4.723 0.818 0.499
Pa -4.332 -3.146 2.810
As -6.307 -1.145 2.017
As -2.748 -1.183 1.292
As -2.593 0.824 -1.638
As -2.090 2.269 0.755
```

---

Entry from the Materials Project: an optimized crystal structure of DyGeAu (r²SCAN).

Values from the calculation:
* energy relative to the elements: -0.933 eV/atom
* V: 20.8 A^3/atom
* SG: P6_3mc, No. 186

The structure in extended XYZ format:
```
6
Lattice="4.422 0.000 0.000 -2.211 3.829 0.000 0.000 0.000 7.354" Properties=species:S:1:pos:R:3 pbc="T T T"
Dy 0.000 0.000 6.204
Dy 0.000 0.000 2.527
Ge 2.211 1.276 0.374
Ge 0.000 2.553 4.051
Au 2.211 1.276 4.643
Au 0.000 2.553 0.966
```

---

Entry from the Materials Project: an optimized crystal structure of TiAl2 (r²SCAN).

Values from the calculation:
* energy relative to the elements: -0.470 eV/atom
* V: 15.7 A^3/atom
* SG: Cmmm, No. 65

The structure in extended XYZ format:
```
6
Lattice="-1.205 -3.662 0.658 3.007 -0.528 2.568 -2.904 3.790 4.179" Properties=species:S:1:pos:R:3 pbc="T T T"
Ti -1.700 -1.217 1.740
Ti -2.409 1.346 3.097
Al -4.109 0.128 4.837
Al -2.003 1.695 5.792
Al -1.396 -0.812 4.566
Al 0.294 0.413 2.839
```